# 1
ScIn3 | PBE | optimized geometry

Cell: 4.536 4.536 4.536 Å, 90.00 90.00 90.00°
Atoms (fractional coordinates):
Sc (0.000, 0.000, 0.000)
In (0.500, 0.500, 0.000)
In (0.000, 0.500, 0.500)
In (0.500, 0.000, 0.500)

Energy (eV per atom): -3.95



# 2
Sc3In | PBE | optimized geometry

Cell: 4.533 4.533 4.533 Å, 90.00 90.00 90.00°
Atoms (fractional coordinates):
Sc (0.000, 0.500, 0.500)
Sc (0.500, 0.000, 0.500)
Sc (0.500, 0.500, 0.000)
In (0.000, 0.000, 0.000)

Relative energy among the computed polymorphs (meV/atom): 8



# 3
ScIn2 | PBE | optimized geometry

Cell: 7.192 7.192 4.491 Å, 90.00 90.00 143.32°
Atoms (fractional coordinates):
In (0.500, 0.500, 0.500)
In (0.676, 0.324, 0.000)
In (0.324, 0.676, 0.000)
In (0.000, 0.000, 0.000)
Sc (0.156, 0.844, 0.500)
Sc (0.844, 0.156, 0.500)

Energy (eV per atom): -4.30



# 4
Sc2In | PBE | optimized geometry

Cell: 5.058 5.058 6.300 Å, 90.00 90.00 120.00°
Atoms (fractional coordinates):
Sc (0.333, 0.667, 0.250)
Sc (0.000, 0.000, 0.500)
Sc (0.000, 0.000, 0.000)
Sc (0.667, 0.333, 0.750)
In (0.667, 0.333, 0.250)
In (0.333, 0.667, 0.750)

Energy (eV per atom): -5.51



Please write out number 3 again, unchanged.
ScIn2 | PBE | optimized geometry

Cell: 7.192 7.192 4.491 Å, 90.00 90.00 143.32°
Atoms (fractional coordinates):
In (0.500, 0.500, 0.500)
In (0.676, 0.324, 0.000)
In (0.324, 0.676, 0.000)
In (0.000, 0.000, 0.000)
Sc (0.156, 0.844, 0.500)
Sc (0.844, 0.156, 0.500)

Energy (eV per atom): -4.30